# 1
Computed, not measured: an optimized crystal structure of ZnCoO2 at the PBE with a Hubbard U level of DFT.

a b c (Å): 2.9597 8.0784 8.3567
angles (deg): 88.75 81.20 82.29
Last column: nearest neighbours and their distance in Å.
Fractional positions:
Zn  0.1077  0.0857  0.2499  5 O 2.05-2.27
Zn  0.3219  0.2635  0.5972  3 O 1.88-2.10
Zn  0.6781  0.7365  0.4028  3 O 1.88-2.10
Zn  0.8923  0.9143  0.7501  5 O 2.05-2.27
Co  0.1346  0.5850  0.7374  4 O 2.02-2.07
Co  0.3463  0.7634  0.0837  3 O 1.91-2.13
Co  0.6537  0.2366  0.9163  3 O 1.91-2.13
Co  0.8654  0.4150  0.2626  4 O 2.02-2.07
O  0.1021  0.2628  0.0706  3 Co 1.91-2.02, 1 Zn 2.05
O  0.2885  0.5945  0.2827  3 Co 2.06-2.13, 2 Zn 2.10-2.13
O  0.3159  0.0923  0.7706  3 Zn 1.98-2.07, 1 Co 2.14
O  0.4572  0.2427  0.3703  2 Zn 1.88-2.10, 1 Co 2.07
O  0.5428  0.7573  0.6297  2 Zn 1.88-2.10, 1 Co 2.07
O  0.6841  0.9077  0.2294  3 Zn 1.98-2.07, 1 Co 2.14
O  0.7115  0.4055  0.7173  3 Co 2.06-2.13, 2 Zn 2.10-2.13
O  0.8979  0.7372  0.9294  3 Co 1.91-2.02, 1 Zn 2.05

Results
The formation enthalpy at 0 K is -1.365 eV per atom. As for the magnetization: 0.75 μB/atom. The calculation puts the MP2020-corrected energy at -5.93 eV per atom. As for the space group: P-1 (2). As for the total DFT energy (no corrections): -5.18 eV/atom.



# 2
Computed, not measured: an optimized crystal structure of ZnCoO2 at the PBE with a Hubbard U level of DFT.

a b c (Å): 2.8881 8.2490 8.5923
angles (deg): 82.19 80.91 80.12
Last column: nearest neighbours and their distance in Å.
Fractional positions:
Zn  0.0811  0.1276  0.2155  4 O 1.97-2.01
Zn  0.3548  0.2359  0.5740  5 O 2.06-2.18
Zn  0.6452  0.7641  0.4260  5 O 2.06-2.18
Zn  0.9189  0.8724  0.7845  4 O 1.97-2.01
Co  0.2072  0.1939  0.8872  4 O 2.00-2.18
Co  0.3705  0.4449  0.3120  4 O 1.87-2.03
Co  0.6295  0.5551  0.6880  4 O 1.87-2.03
Co  0.7928  0.8061  0.1128  4 O 2.00-2.18
O  0.0712  0.7178  0.6161  2 Co 1.98-2.03, 3 Zn 2.01-2.18
O  0.1538  0.8888  0.2856  3 Zn 1.97-2.07, 1 Co 2.18
O  0.1835  0.4101  0.7373  3 Co 1.87-2.05, 1 Zn 2.09
O  0.3684  0.8219  0.9463  2 Zn 2.00, 2 Co 2.00-2.02
O  0.6316  0.1781  0.0537  2 Zn 2.00, 2 Co 2.00-2.02
O  0.8165  0.5899  0.2627  3 Co 1.87-2.05, 1 Zn 2.09
O  0.8462  0.1112  0.7144  3 Zn 1.97-2.07, 1 Co 2.18
O  0.9288  0.2822  0.3839  2 Co 1.98-2.03, 3 Zn 2.01-2.18

Results
The formation enthalpy at 0 K is -1.283 eV per atom. As for the magnetization: 0.50 μB/atom. The calculation puts the MP2020-corrected energy at -5.85 eV per atom. As for the space group: P-1 (2). As for the total DFT energy (no corrections): -5.10 eV/atom.



# 3
Computed, not measured: an optimized crystal structure of ZnCo5O7 at the PBE with a Hubbard U level of DFT.

a b c (Å): 5.0751 5.0751 17.3029
angles (deg): 90.00 90.00 146.69
Last column: nearest neighbours and their distance in Å.
Fractional positions:
Zn  0.1913  0.8087  0.7500  2 O 2.05
Zn  0.8087  0.1913  0.2500  2 O 2.05
Co  0.0000  0.0000  0.0000  6 O 2.09-2.10
Co  0.0000  0.0000  0.5000  6 O 2.09-2.10
Co  0.2828  0.7172  0.0772  6 O 1.97-2.19
Co  0.2828  0.7172  0.4228  6 O 1.97-2.19
Co  0.4483  0.5517  0.6518  6 O 1.93-2.09
Co  0.4483  0.5517  0.8482  6 O 1.93-2.09
Co  0.5517  0.4483  0.1518  6 O 1.93-2.09
Co  0.5517  0.4483  0.3482  6 O 1.93-2.09
Co  0.7172  0.2828  0.5772  6 O 1.97-2.19
Co  0.7172  0.2828  0.9228  6 O 1.97-2.19
O  0.0702  0.9298  0.6139  5 Co 1.99-2.14
O  0.0702  0.9298  0.8861  5 Co 1.99-2.14
O  0.1780  0.8220  0.1745  3 Co 1.94-1.97
O  0.1780  0.8220  0.3255  3 Co 1.94-1.97
O  0.3618  0.6382  0.5411  6 Co 2.09-2.19
O  0.3618  0.6382  0.9589  6 Co 2.09-2.19
O  0.4579  0.5421  0.2500  2 Co 1.93, 2 Zn 2.05
O  0.5421  0.4579  0.7500  2 Co 1.93, 2 Zn 2.05
O  0.6382  0.3618  0.0411  6 Co 2.09-2.19
O  0.6382  0.3618  0.4589  6 Co 2.09-2.19
O  0.8220  0.1780  0.6745  3 Co 1.94-1.97
O  0.8220  0.1780  0.8255  3 Co 1.94-1.97
O  0.9298  0.0702  0.1139  5 Co 1.99-2.14
O  0.9298  0.0702  0.3861  5 Co 1.99-2.14

Results
The formation enthalpy at 0 K is -1.218 eV per atom. As for the magnetization: 0.69 μB/atom. The calculation puts the MP2020-corrected energy at -6.71 eV per atom. As for the space group: Cmcm (63). As for the total DFT energy (no corrections): -5.71 eV/atom.



# 4
Computed, not measured: an optimized crystal structure of Zn2Co3O8 at the PBE with a Hubbard U level of DFT.

a b c (Å): 5.7412 5.7616 9.3633
angles (deg): 90.66 90.02 118.90
Last column: nearest neighbours and their distance in Å.
Fractional positions:
Zn  0.0000  0.0000  0.0000  4 O 1.94-1.97
Zn  0.0010  0.0034  0.6036  6 O 2.05-2.19
Zn  0.6622  0.3329  0.1054  6 O 2.06-2.18
Zn  0.6651  0.3418  0.4970  4 O 1.95-1.98
Co  0.9997  0.5046  0.8204  6 O 1.82-1.95
Co  0.1632  0.3375  0.3204  6 O 1.84-1.95
Co  0.1649  0.8300  0.3193  6 O 1.85-1.95
Co  0.4931  0.5090  0.8167  5 O 1.84-1.98
Co  0.4963  0.9984  0.8199  4 O 1.79-1.96
Co  0.6537  0.8298  0.3207  5 O 1.84-2.04
O  0.0105  0.0079  0.2099  3 Co 1.95-2.08, 1 Zn 1.97
O  0.0180  0.5110  0.2203  2 Co 1.84-1.85
O  0.1605  0.8184  0.7270  2 Co 1.82-1.90
O  0.1740  0.3541  0.7199  2 Co 1.84-1.86
O  0.2913  0.1465  0.4366  2 Co 1.93-1.94, 2 Zn 1.96-2.15
O  0.3056  0.6540  0.4304  3 Co 1.89-2.04
O  0.3157  0.6364  0.9288  2 Co 1.84-1.88
O  0.3695  0.1630  0.9429  1 Co 1.84, 1 Zn 1.94
O  0.4830  0.9773  0.2215  2 Co 1.84-1.85
O  0.4838  0.5031  0.2276  2 Co 1.84-1.86
O  0.6489  0.8490  0.7134  2 Co 1.79-1.98
O  0.6722  0.3585  0.7086  3 Co 1.92-2.11, 1 Zn 1.98
O  0.8043  0.6285  0.9379  2 Co 1.93-1.94, 1 Zn 1.96
O  0.8223  0.1956  0.9338  2 Co 1.90-1.96, 1 Zn 1.95
O  0.8510  0.1532  0.4322  2 Co 1.90-1.94, 1 Zn 1.95
O  0.8541  0.7095  0.4345  2 Co 1.91-1.93, 1 Zn 1.95

Results
The formation enthalpy at 0 K is -1.261 eV per atom. As for the magnetization: 0.31 μB/atom. As for the distance to the lowest polymorph of the same formula: 40 meV/atom. The calculation puts the MP2020-corrected energy at -6.14 eV per atom. As for the space group: P1 (1). As for the total DFT energy (no corrections): -5.34 eV/atom.



# 5
Computed, not measured: an optimized crystal structure of ZnCo2O4 at the PBE with a Hubbard U level of DFT.

a b c (Å): 7.4713 7.4713 9.1216
angles (deg): 126.88 126.88 23.30
Last column: nearest neighbours and their distance in Å.
Fractional positions:
Zn  0.1760  0.1760  0.1870  5 O 2.05-2.10
Zn  0.8240  0.8240  0.8130  5 O 2.05-2.10
Co  0.1310  0.1310  0.4546  3 O 1.88-1.99
Co  0.3682  0.3682  0.1913  4 O 1.87-1.93
Co  0.6318  0.6318  0.8087  4 O 1.87-1.93
Co  0.8690  0.8690  0.5454  3 O 1.88-1.99
O  0.0295  0.0295  0.7324  3 Co 1.88-1.93
O  0.3004  0.3004  0.9385  1 Co 1.87, 2 Zn 2.05
O  0.3315  0.3315  0.6619  2 Zn 2.09, 3 Co 2.10-2.32
O  0.3561  0.3561  0.3908  3 Co 1.93-1.99, 1 Zn 2.10
O  0.6439  0.6439  0.6092  3 Co 1.93-1.99, 1 Zn 2.10
O  0.6685  0.6685  0.3381  2 Zn 2.09, 3 Co 2.10-2.32
O  0.6996  0.6996  0.0615  1 Co 1.87, 2 Zn 2.05
O  0.9705  0.9705  0.2676  3 Co 1.88-1.93

Results
The formation enthalpy at 0 K is -1.159 eV per atom. As for the magnetization: 0.29 μB/atom. As for the distance to the lowest polymorph of the same formula: 259 meV/atom. The calculation puts the MP2020-corrected energy at -6.20 eV per atom. As for the space group: C2/m (12). As for the total DFT energy (no corrections): -5.34 eV/atom.